Computed, not measured: a relaxed structure of TeO4 at the PBE level of DFT.

a = 4.9645 Å, b = 5.2355 Å, c = 5.7678 Å
α = 65.83°, β = 90.00°, γ = 90.00°
With the nearest neighbours (Å) after each atom.
Element x y z (fractional)
1 Te 0.5000 0.5000 0.0000  6 O 1.95-1.96
2 Te 0.0000 0.0000 0.0000  6 O 1.95-1.96
3 O 0.6480 0.3709 0.3421  1 Te 1.95
4 O 0.1480 0.1291 0.6579  1 Te 1.95
5 O 0.3520 0.6291 0.6579  1 Te 1.95
6 O 0.8520 0.8709 0.3421  1 Te 1.95
7 O 0.8196 0.3637 0.8858  2 Te 1.96
8 O 0.3196 0.1363 0.1142  2 Te 1.96
9 O 0.1804 0.6363 0.1142  2 Te 1.96
10 O 0.6804 0.8637 0.8858  2 Te 1.96

Summary:
uncorrected energy = -4.67 eV/atom
magnetic moment = 0.400 μB/atom
ΔH_f (0 K) = -0.64 eV/atom